Material: Cs2AsH5O6
Method: DFT, PBE-GGA
State: optimized geometry

Magnetization   0.00 μB/cell
Total energy after the MP2020 corrections   -5.431 eV/atom
Crystal system   monoclinic
Symmetry   P2_1/c
Calculated density   3.4 Mg/m³

abc: 8.0493 8.5610 14.4219
angles: 90.00 90.00 120.59
Fractional positions:
O 0.3484 0.4382 0.7804
O 0.8661 0.9424 0.2079
O 0.2101 0.4496 0.0897
O 0.6516 0.5618 0.2196
O 0.0742 0.7583 0.5762
O 0.0742 0.2583 0.9238
O 0.9258 0.2417 0.4238
O 0.2869 0.0474 0.0865
O 0.1339 0.5576 0.7079
O 0.8661 0.4424 0.2921
O 0.2101 0.9496 0.4103
O 0.4291 0.2546 0.9228
O 0.6516 0.0618 0.2804
O 0.7131 0.9526 0.9135
O 0.7131 0.4526 0.5865
O 0.5709 0.7454 0.0772
O 0.5709 0.2454 0.4228
O 0.1339 0.0576 0.7921
O 0.4291 0.7546 0.5772
O 0.7899 0.0504 0.5897
O 0.7899 0.5504 0.9103
O 0.2869 0.5474 0.4135
O 0.9258 0.7417 0.0762
O 0.3484 0.9382 0.7196
As 0.2546 0.7636 0.6410
As 0.7454 0.2364 0.3590
As 0.2546 0.2636 0.8590
As 0.7454 0.7364 0.1410
H 0.1791 0.8748 0.4674
H 0.3486 0.0488 0.4168
H 0.1482 0.4484 0.4183
H 0.6514 0.9512 0.5832
H 0.6514 0.4512 0.9168
H 0.8518 0.0516 0.9183
H 0.8518 0.5516 0.5817
H 0.3486 0.5488 0.0832
H 0.2242 0.0172 0.7656
H 0.3158 0.1224 0.0299
H 0.6842 0.8776 0.9701
H 0.2242 0.5172 0.7344
H 0.8209 0.1252 0.5326
H 0.7758 0.9828 0.2344
H 0.3158 0.6224 0.4701
H 0.8209 0.6252 0.9674
H 0.1482 0.9484 0.0817
H 0.6842 0.3776 0.5299
H 0.7758 0.4828 0.2656
H 0.1791 0.3748 0.0326
Cs 0.7500 0.2535 0.0831
Cs 0.2589 0.7554 0.2335
Cs 0.2500 0.7465 0.9169
Cs 0.2589 0.2554 0.2665
Cs 0.7500 0.7535 0.4169
Cs 0.7411 0.7446 0.7335
Cs 0.2500 0.2465 0.5831
Cs 0.7411 0.2446 0.7665

---

Material: CsScAs2H2O8
Method: DFT, PBE-GGA
State: optimized geometry

Distance to the lowest polymorph of the same formula   0 meV per atom
Magnetization   0.01 μB/cell
Total energy after the MP2020 corrections   -6.645 eV/atom
Crystal system   triclinic
Symmetry   P-1
Calculated density   3.6 Mg/m³

abc: 7.7357 9.5264 10.2836
angles: 65.22 70.64 69.93
Fractional positions:
O 0.1729 0.4904 0.0610
O 0.1492 0.2663 0.6095
O 0.8508 0.7337 0.3905
O 0.7131 0.7937 0.7193
O 0.9793 0.8166 0.0827
O 0.8846 0.0780 0.7505
O 0.6052 0.3063 0.9407
O 0.4131 0.3645 0.7386
O 0.4376 0.6341 0.7839
O 0.0150 0.7652 0.8096
O 0.7442 0.4637 0.6373
O 0.2869 0.2063 0.2807
O 0.0667 0.5755 0.6498
O 0.5869 0.6355 0.2614
O 0.3948 0.6937 0.0593
O 0.5624 0.3659 0.2161
O 0.8271 0.5096 0.9390
O 0.9850 0.2348 0.1904
O 0.2510 0.9499 0.7952
O 0.0207 0.1834 0.9173
O 0.7490 0.0501 0.2048
O 0.9333 0.4245 0.3502
O 0.2558 0.5363 0.3627
O 0.1154 0.9220 0.2495
H 0.7100 0.5612 0.2824
H 0.9238 0.9588 0.7725
H 0.6113 0.7376 0.7441
H 0.3887 0.2624 0.2559
H 0.0762 0.0412 0.2275
H 0.2900 0.4388 0.7176
Cs 0.6309 0.1686 0.5247
Cs 0.5000 0.0000 0.0000
Cs 0.3691 0.8314 0.4753
As 0.4455 0.5538 0.2196
As 0.0877 0.3515 0.2166
As 0.0787 0.1242 0.7701
As 0.9213 0.8758 0.2299
As 0.5545 0.4462 0.7804
As 0.9123 0.6485 0.7834
Sc 0.7967 0.2787 0.0572
Sc 0.2033 0.7213 0.9428
Sc 0.0000 0.5000 0.5000

---

Material: CsScAs2H2O8
Method: DFT, PBE-GGA
State: optimized geometry

Distance to the lowest polymorph of the same formula   3 meV per atom
Magnetization   0.00 μB/cell
Total energy after the MP2020 corrections   -6.642 eV/atom
Crystal system   monoclinic
Symmetry   P2_1/c
Calculated density   3.7 Mg/m³

abc: 9.5750 5.6304 15.2946
angles: 84.14 90.00 90.00
Fractional positions:
O 0.3063 0.4332 0.7230
O 0.6937 0.5668 0.2770
O 0.3166 0.2840 0.8943
O 0.4693 0.4135 0.3936
O 0.0924 0.7716 0.7347
O 0.7943 0.2629 0.4226
O 0.9693 0.5865 0.1064
O 0.8166 0.7160 0.6057
O 0.8219 0.7576 0.9515
O 0.6834 0.7160 0.1057
O 0.5924 0.2284 0.7653
O 0.3705 0.9287 0.7128
O 0.9076 0.2284 0.2653
O 0.2057 0.7371 0.5774
O 0.1295 0.9287 0.2128
O 0.0307 0.4135 0.8936
O 0.8063 0.5668 0.7770
O 0.6781 0.7576 0.4515
O 0.6295 0.0713 0.2872
O 0.5307 0.5865 0.6064
O 0.8863 0.0748 0.0768
O 0.1781 0.2424 0.0485
O 0.7057 0.2629 0.9226
O 0.1137 0.9252 0.9232
O 0.3219 0.2424 0.5485
O 0.8705 0.0713 0.7872
O 0.3863 0.9252 0.4232
O 0.1834 0.2840 0.3943
O 0.4076 0.7716 0.2347
O 0.6137 0.0748 0.5768
O 0.1937 0.4332 0.2230
O 0.2943 0.7371 0.0774
As 0.7490 0.2809 0.3087
As 0.8510 0.7847 0.0596
As 0.2490 0.7191 0.1913
As 0.2510 0.7191 0.6913
As 0.3510 0.2153 0.4404
As 0.6490 0.7847 0.5596
As 0.1490 0.2153 0.9404
As 0.7510 0.2809 0.8087
H 0.8077 0.6694 0.6713
H 0.2911 0.7424 0.5410
H 0.1923 0.3306 0.3287
H 0.7089 0.2576 0.4590
H 0.6923 0.6694 0.1713
H 0.2089 0.7424 0.0410
H 0.7911 0.2576 0.9590
H 0.3077 0.3306 0.8287
Sc 0.9654 0.7563 0.8470
Sc 0.0346 0.2437 0.1530
Sc 0.4654 0.2437 0.6530
Sc 0.5346 0.7563 0.3470
Cs 0.5058 0.7708 0.8916
Cs 0.9942 0.7708 0.3916
Cs 0.4942 0.2292 0.1084
Cs 0.0058 0.2292 0.6084

---

Material: Cs4AsH5Se3O16
Method: DFT, PBE-GGA
State: optimized geometry

Magnetization   0.00 μB/cell
Total energy after the MP2020 corrections   -5.530 eV/atom
Crystal system   monoclinic
Symmetry   P2_1
Calculated density   3.5 Mg/m³

abc: 13.9232 6.1732 12.2167
angles: 84.70 90.00 90.00
Fractional positions:
As 0.9429 0.2391 0.6348
As 0.4429 0.7609 0.3652
Cs 0.4226 0.2668 0.6415
Cs 0.9226 0.7332 0.3585
Cs 0.6710 0.7015 0.0981
Cs 0.4478 0.2042 0.0870
Cs 0.1710 0.2985 0.9019
Cs 0.9478 0.7958 0.9130
Cs 0.1904 0.2252 0.3543
Cs 0.6904 0.7748 0.6457
H 0.3101 0.7291 0.4843
H 0.5978 0.6408 0.4145
H 0.8495 0.3630 0.8167
H 0.2715 0.8564 0.8168
H 0.9856 0.8854 0.6119
H 0.3495 0.6370 0.1833
H 0.8101 0.2709 0.5157
H 0.0978 0.3592 0.5855
H 0.4856 0.1146 0.3881
H 0.7715 0.1436 0.1832
O 0.5666 0.2159 0.4364
O 0.4910 0.7776 0.9604
O 0.7894 0.4250 0.8502
O 0.9213 0.9593 0.6354
O 0.9910 0.2224 0.0396
O 0.4557 0.6779 0.2390
O 0.5414 0.7120 0.4528
O 0.2594 0.8686 0.5606
O 0.3764 0.4766 0.8665
O 0.3439 0.6324 0.4298
O 0.7489 0.9839 0.8621
O 0.9557 0.3221 0.7610
O 0.6302 0.2789 0.7462
O 0.1302 0.7211 0.2538
O 0.1665 0.8030 0.7585
O 0.2894 0.5750 0.1498
O 0.6905 0.5385 0.3702
O 0.6665 0.1970 0.2415
O 0.2489 0.0161 0.1379
O 0.8439 0.3676 0.5702
O 0.1402 0.7298 0.0264
O 0.8288 0.0856 0.1431
O 0.4213 0.0407 0.3646
O 0.3288 0.9144 0.8569
O 0.7594 0.1314 0.4394
O 0.6402 0.2702 0.9736
O 0.0666 0.7841 0.5636
O 0.8764 0.5234 0.1335
O 0.1905 0.4615 0.6298
O 0.0414 0.2880 0.5472
O 0.4779 0.7783 0.7331
O 0.9779 0.2217 0.2669
Se 0.1708 0.7313 0.6296
Se 0.6953 0.2253 0.8585
Se 0.6708 0.2687 0.3704
Se 0.1953 0.7747 0.1415
Se 0.4256 0.7224 0.8540
Se 0.9256 0.2776 0.1460

---

Material: Cs2AsH3SeO8
Method: DFT, PBE-GGA
State: optimized geometry

Magnetization   0.00 μB/cell
Total energy after the MP2020 corrections   -5.605 eV/atom
Crystal system   triclinic
Symmetry   P-1
Calculated density   3.4 Mg/m³

abc: 8.1628 8.1973 8.2282
angles: 87.67 89.44 78.46
Fractional positions:
O 0.7858 0.6201 0.2404
O 0.5036 0.3412 0.3057
O 0.5161 0.1404 0.0282
O 0.7223 0.8836 0.7283
O 0.9940 0.1644 0.8052
O 0.2499 0.0974 0.5845
O 0.0153 0.6439 0.4754
O 0.4964 0.6588 0.6943
O 0.2142 0.3799 0.7596
O 0.7501 0.9026 0.4155
O 0.9847 0.3561 0.5246
O 0.2446 0.4054 0.0765
O 0.0060 0.8356 0.1948
O 0.7554 0.5946 0.9235
O 0.4839 0.8596 0.9718
O 0.2777 0.1164 0.2717
H 0.5000 0.0000 0.0000
H 0.0000 0.5000 0.5000
H 0.7283 0.8746 0.6040
H 0.2364 0.3793 0.9578
H 0.7636 0.6207 0.0422
H 0.2717 0.1254 0.3960
Se 0.1129 0.2471 0.6745
Se 0.8871 0.7529 0.3255
Cs 0.6079 0.2763 0.6666
Cs 0.3921 0.7237 0.3334
Cs 0.8820 0.2320 0.1678
Cs 0.1180 0.7680 0.8322
As 0.3976 0.2503 0.1767
As 0.6024 0.7497 0.8233

---

Material: Cs2HgAsI6
Method: DFT, PBE-GGA
State: optimized geometry

Magnetization   0.00 μB/cell
Total energy after the MP2020 corrections   -2.574 eV/atom
Crystal system   cubic
Symmetry   Fm-3m
Calculated density   4.9 Mg/m³

abc: 8.5454 8.5454 8.5454
angles: 60.00 60.00 60.00
Fractional positions:
I 0.2406 0.7594 0.7594
I 0.2406 0.2406 0.7594
I 0.2406 0.7594 0.2406
I 0.7594 0.2406 0.2406
I 0.7594 0.2406 0.7594
I 0.7594 0.7594 0.2406
Cs 0.2500 0.2500 0.2500
Cs 0.7500 0.7500 0.7500
As 0.0000 0.0000 0.0000
Hg 0.5000 0.5000 0.5000

---

Number 1: energy relative to the elements -1.64 eV per atom. Number 2: energy relative to the elements -2.15 eV per atom. Number 3: energy relative to the elements -2.15 eV per atom. Number 4: energy relative to the elements -1.57 eV per atom. Number 5: energy relative to the elements -1.62 eV per atom. Number 6: energy relative to the elements -0.98 eV per atom.